! PBE-GGA NbRh, relaxed; values from VASP
&SYSTEM
  ibrav = 0, nat = 6, ntyp = 2
/
ATOMIC_SPECIES
Nb 92.91 Nb.upf
Rh 102.91 Rh.upf
CELL_PARAMETERS angstrom
4.9020 0.0000 0.0000
0.0000 2.8670 0.0000
-1.6778 0.0000 6.8873
ATOMIC_POSITIONS crystal
Nb 0.0000 0.0000 0.0000
Nb 0.2540 0.0000 0.6670
Nb 0.7460 0.0000 0.3330
Rh 0.2559 0.5000 0.3347
Rh 0.5000 0.5000 0.0000
Rh 0.7441 0.5000 0.6653
! Energy: -0.3351 Ha/atom